## w
Below is crystalline Rb2LiPuCl4O2 at its relaxed geometry, with properties calculated at the PBE level.

Summary:
The value obtained for the calculated volume is 28.2 Å³ per atom.

Cell and atoms, written as POSCAR:
```
Rb2LiPuCl4O2
1.0
0.381 0.165 5.999
-6.207 3.743 0.262
-6.252 -3.809 0.021
Cl Li Pu Rb O
4 1 1 2 2
Cartesian
-7.070 2.119 4.590 Cl
-4.574 1.932 1.485 Cl
-7.552 -1.718 4.378 Cl
-4.609 -1.818 1.625 Cl
-5.623 0.821 6.043 Li
-5.976 0.073 3.053 Pu
-1.662 0.293 1.472 Rb
-10.081 0.533 4.877 Rb
-4.784 -0.053 4.445 O
-7.157 0.196 1.659 O
```

=====

## x
Below is crystalline Rb2LiPuCl4O2 at its relaxed geometry, with properties calculated at the PBE level.

Summary:
The value obtained for the calculated volume is 27.0 Å³ per atom.

Cell and atoms, written as POSCAR:
```
Rb2LiPuCl4O2
1.0
-0.310 -0.057 6.116
-5.990 3.823 0.797
-5.880 -3.660 0.869
Rb Cl Pu O Li
2 4 1 2 1
Cartesian
-10.710 0.050 6.530 Rb
-2.086 0.106 1.296 Rb
-4.689 2.116 2.487 Cl
-7.424 -1.833 5.284 Cl
-7.620 1.775 5.275 Cl
-4.608 -1.936 2.426 Cl
-5.947 0.034 3.921 Pu
-7.325 0.006 2.696 O
-4.642 0.075 5.177 O
-8.957 0.223 3.748 Li
```

=====

## y
Below is crystalline Rb2LiPuCl4O2 at its relaxed geometry, with properties calculated at the PBE level.

Summary:
The value obtained for the calculated volume is 27.3 Å³ per atom.

Cell and atoms, written as POSCAR:
```
Rb2LiPuCl4O2
1.0
-4.082 -4.500 0.834
5.996 -3.712 0.713
2.908 0.154 6.462
O Rb Cl Li Pu
2 2 4 1 1
Cartesian
4.162 -3.691 4.718 O
0.836 -4.166 3.251 O
0.189 -1.899 1.379 Rb
4.883 -6.228 6.811 Rb
1.758 -1.369 4.556 Cl
3.419 -3.449 1.464 Cl
3.038 -6.673 3.723 Cl
1.559 -4.821 6.476 Cl
5.597 -2.459 4.660 Li
2.480 -3.927 3.973 Pu
```

=====

Most stable structure among those shown: w.